No. 1
{"formula": "Li2H10C8O7F18", "functional": "PBE", "state": "relaxed", "space_group": "P2_1/c", "formation_enthalpy_0k_ev_per_fu": -74.95, "rho_g_cm3": 1.8, "lattice_angstrom": [[2.1996, -4.7844, -5.3161], [-11.7522, -2.1418, -2.0855], [-0.3612, 17.2022, -15.6311]], "species": ["Li", "Li", "Li", "Li", "Li", "Li", "Li", "Li", "H", "H", "H", "H", "H", "H", "H", "H", "H", "H", "H", "H", "H", "H", "H", "H", "H", "H", "H", "H", "H", "H", "H", "H", "H", "H", "H", "H", "H", "H", "H", "H", "H", "H", "H", "H", "H", "H", "H", "H", "C", "C", "C", "C", "C", "C", "C", "C", "C", "C", "C", "C", "C", "C", "C", "C", "C", "C", "C", "C", "C", "C", "C", "C", "C", "C", "C", "C", "C", "C", "C", "C", "O", "O", "O", "O", "O", "O", "O", "O", "O", "O", "O", "O", "O", "O", "O", "O", "O", "O", "O", "O", "O", "O", "O", "O", "O", "O", "O", "O", "F", "F", "F", "F", "F", "F", "F", "F", "F", "F", "F", "F", "F", "F", "F", "F", "F", "F", "F", "F", "F", "F", "F", "F", "F", "F", "F", "F", "F", "F", "F", "F", "F", "F", "F", "F", "F", "F", "F", "F", "F", "F", "F", "F", "F", "F", "F", "F", "F", "F", "F", "F", "F", "F", "F", "F", "F", "F", "F", "F", "F", "F", "F", "F", "F", "F", "F", "F", "F", "F", "F", "F"], "frac_coords": [[0.8284, 0.4211, 0.9234], [0.1716, 0.0789, 0.4234], [0.1716, 0.5789, 0.0766], [0.8284, 0.9211, 0.5766], [0.6634, 0.3706, 0.0525], [0.3366, 0.1294, 0.5525], [0.3366, 0.6294, 0.9475], [0.6634, 0.8706, 0.4475], [0.4914, 0.5185, 0.1158], [0.5086, 0.9815, 0.6158], [0.5086, 0.4815, 0.8842], [0.4914, 0.0185, 0.3842], [0.0225, 0.6030, 0.8949], [0.9775, 0.8970, 0.3949], [0.9775, 0.3970, 0.1051], [0.0225, 0.1030, 0.6051], [0.0483, 0.5137, 0.8465], [0.9517, 0.9863, 0.3465], [0.9517, 0.4863, 0.1535], [0.0483, 0.0137, 0.6535], [0.4442, 0.3986, 0.1375], [0.5558, 0.1014, 0.6375], [0.5558, 0.6014, 0.8625], [0.4442, 0.8986, 0.3625], [0.9657, 0.3046, 0.0035], [0.0343, 0.1954, 0.5035], [0.0343, 0.6954, 0.9965], [0.9657, 0.8046, 0.4965], [0.5229, 0.3169, 0.9537], [0.4771, 0.1831, 0.4537], [0.4771, 0.6831, 0.0463], [0.5229, 0.8169, 0.5463], [0.4334, 0.2366, 0.0009], [0.5666, 0.2634, 0.5009], [0.5666, 0.7634, 0.9991], [0.4334, 0.7366, 0.4991], [0.0677, 0.2790, 0.9445], [0.9323, 0.2210, 0.4445], [0.9323, 0.7210, 0.0555], [0.0677, 0.7790, 0.5555], [0.6568, 0.5561, 0.9884], [0.3432, 0.9439, 0.4884], [0.3432, 0.4439, 0.0116], [0.6568, 0.0561, 0.5116], [0.8408, 0.5510, 0.0162], [0.1592, 0.9490, 0.5162], [0.1592, 0.4490, 0.9838], [0.8408, 0.0510, 0.4838], [0.5833, 0.2850, 0.8439], [0.4167, 0.2150, 0.3439], [0.4167, 0.7150, 0.1561], [0.5833, 0.7850, 0.6561], [0.6758, 0.3375, 0.7887], [0.3242, 0.1625, 0.2887], [0.3242, 0.6625, 0.2113], [0.6758, 0.8375, 0.7113], [0.3770, 0.2636, 0.8313], [0.6230, 0.2364, 0.3313], [0.6230, 0.7364, 0.1687], [0.3770, 0.7636, 0.6687], [0.6674, 0.1706, 0.8558], [0.3326, 0.3294, 0.3558], [0.3326, 0.8294, 0.1442], [0.6674, 0.6706, 0.6442], [0.8917, 0.1838, 0.0928], [0.1083, 0.3162, 0.5928], [0.1083, 0.8162, 0.9072], [0.8917, 0.6838, 0.4072], [0.7964, 0.0900, 0.0552], [0.2036, 0.4100, 0.5552], [0.2036, 0.9100, 0.9448], [0.7964, 0.5900, 0.4448], [0.8030, 0.1800, 0.1544], [0.1970, 0.3200, 0.6544], [0.1970, 0.8200, 0.8456], [0.8030, 0.6800, 0.3456], [0.0959, 0.1587, 0.0993], [0.9041, 0.3413, 0.5993], [0.9041, 0.8413, 0.9007], [0.0959, 0.6587, 0.4007], [0.6067, 0.3540, 0.8899], [0.3933, 0.1460, 0.3899], [0.3933, 0.6460, 0.1101], [0.6067, 0.8540, 0.6101], [0.8763, 0.2848, 0.0680], [0.1237, 0.2152, 0.5680], [0.1237, 0.7152, 0.9320], [0.8763, 0.7848, 0.4320], [0.0126, 0.3375, 0.9660], [0.9874, 0.1625, 0.4660], [0.9874, 0.6625, 0.0340], [0.0126, 0.8375, 0.5340], [0.9803, 0.5282, 0.8810], [0.0197, 0.9718, 0.3810], [0.0197, 0.4718, 0.1190], [0.9803, 0.0282, 0.6190], [0.5243, 0.4401, 0.1116], [0.4757, 0.0599, 0.6116], [0.4757, 0.5599, 0.8884], [0.5243, 0.9401, 0.3884], [0.4874, 0.3107, 0.9955], [0.5126, 0.1893, 0.4955], [0.5126, 0.6893, 0.0045], [0.4874, 0.8107, 0.5045], [0.7460, 0.5018, 0.9977], [0.2540, 0.9982, 0.4977], [0.2540, 0.4982, 0.0023], [0.7460, 0.0018, 0.5023], [0.8576, 0.3420, 0.7946], [0.1424, 0.1580, 0.2946], [0.1424, 0.6580, 0.2054], [0.8576, 0.8420, 0.7054], [0.6354, 0.2810, 0.7396], [0.3646, 0.2190, 0.2396], [0.3646, 0.7190, 0.2604], [0.6354, 0.7810, 0.7604], [0.6267, 0.4427, 0.7815], [0.3733, 0.0573, 0.2815], [0.3733, 0.5573, 0.2185], [0.6267, 0.9427, 0.7185], [0.3045, 0.3573, 0.8116], [0.6955, 0.1427, 0.3116], [0.6955, 0.6427, 0.1884], [0.3045, 0.8573, 0.6884], [0.3379, 0.1822, 0.7929], [0.6621, 0.3178, 0.2929], [0.6621, 0.8178, 0.2071], [0.3379, 0.6822, 0.7071], [0.2891, 0.2360, 0.8814], [0.7109, 0.2640, 0.3814], [0.7109, 0.7640, 0.1186], [0.2891, 0.7360, 0.6186], [0.8402, 0.1864, 0.8737], [0.1598, 0.3136, 0.3737], [0.1598, 0.8136, 0.1263], [0.8402, 0.6864, 0.6263], [0.6674, 0.1030, 0.8094], [0.3326, 0.3970, 0.3094], [0.3326, 0.8970, 0.1906], [0.6674, 0.6030, 0.6906], [0.5760, 0.1164, 0.8989], [0.4240, 0.3836, 0.3989], [0.4240, 0.8836, 0.1011], [0.5760, 0.6164, 0.6011], [0.8387, 0.9868, 0.0713], [0.1613, 0.5132, 0.5713], [0.1613, 0.0132, 0.9287], [0.8387, 0.4868, 0.4287], [0.6147, 0.0943, 0.0583], [0.3853, 0.4057, 0.5583], [0.3853, 0.9057, 0.9417], [0.6147, 0.5943, 0.4417], [0.8417, 0.1034, 0.9990], [0.1583, 0.3966, 0.4990], [0.1583, 0.8966, 0.0010], [0.8417, 0.6034, 0.5010], [0.7855, 0.0770, 0.1772], [0.2145, 0.4230, 0.6772], [0.2145, 0.9230, 0.8228], [0.7855, 0.5770, 0.3228], [0.9009, 0.2448, 0.1917], [0.0991, 0.2552, 0.6917], [0.0991, 0.7552, 0.8083], [0.9009, 0.7448, 0.3083], [0.6369, 0.2205, 0.1517], [0.3631, 0.2795, 0.6517], [0.3631, 0.7795, 0.8483], [0.6369, 0.7205, 0.3483], [0.1273, 0.0718, 0.1337], [0.8727, 0.4282, 0.6337], [0.8727, 0.9282, 0.8663], [0.1273, 0.5718, 0.3663], [0.1888, 0.2486, 0.1209], [0.8112, 0.2514, 0.6209], [0.8112, 0.7514, 0.8791], [0.1888, 0.7486, 0.3791], [0.1688, 0.1384, 0.0465], [0.8312, 0.3616, 0.5465], [0.8312, 0.8616, 0.9535], [0.1688, 0.6384, 0.4535]]}

No. 2
{"formula": "Mg3H43C12O12F", "functional": "PBE", "state": "relaxed", "space_group": "P2_1/c", "formation_enthalpy_0k_ev_per_fu": -54.42, "rho_g_cm3": 1.1, "lattice_angstrom": [[11.0437, 0.0000, 0.0000], [0.0000, 12.3135, 0.0000], [-2.8166, 0.0000, 20.5953]], "species": ["Mg", "Mg", "Mg", "Mg", "Mg", "Mg", "Mg", "Mg", "Mg", "Mg", "Mg", "Mg", "H", "H", "H", "H", "H", "H", "H", "H", "H", "H", "H", "H", "H", "H", "H", "H", "H", "H", "H", "H", "H", "H", "H", "H", "H", "H", "H", "H", "H", "H", "H", "H", "H", "H", "H", "H", "H", "H", "H", "H", "H", "H", "H", "H", "H", "H", "H", "H", "H", "H", "H", "H", "H", "H", "H", "H", "H", "H", "H", "H", "H", "H", "H", "H", "H", "H", "H", "H", "H", "H", "H", "H", "H", "H", "H", "H", "H", "H", "H", "H", "H", "H", "H", "H", "H", "H", "H", "H", "H", "H", "H", "H", "H", "H", "H", "H", "H", "H", "H", "H", "H", "H", "H", "H", "H", "H", "H", "H", "H", "H", "H", "H", "H", "H", "H", "H", "H", "H", "H", "H", "H", "H", "H", "H", "H", "H", "H", "H", "H", "H", "H", "H", "H", "H", "H", "H", "H", "H", "H", "H", "H", "H", "H", "H", "H", "H", "H", "H", "H", "H", "H", "H", "H", "H", "H", "H", "H", "H", "H", "H", "H", "H", "H", "H", "H", "H", "H", "H", "H", "H", "H", "H", "C", "C", "C", "C", "C", "C", "C", "C", "C", "C", "C", "C", "C", "C", "C", "C", "C", "C", "C", "C", "C", "C", "C", "C", "C", "C", "C", "C", "C", "C", "C", "C", "C", "C", "C", "C", "C", "C", "C", "C", "C", "C", "C", "C", "C", "C", "C", "C", "O", "O", "O", "O", "O", "O", "O", "O", "O", "O", "O", "O", "O", "O", "O", "O", "O", "O", "O", "O", "O", "O", "O", "O", "O", "O", "O", "O", "O", "O", "O", "O", "O", "O", "O", "O", "O", "O", "O", "O", "O", "O", "O", "O", "O", "O", "O", "O", "F", "F", "F", "F"], "frac_coords": [[0.3715, 0.0018, 0.5366], [0.6285, 0.5018, 0.9634], [0.6285, 0.9982, 0.4634], [0.3715, 0.4982, 0.0366], [0.6042, 0.1507, 0.5866], [0.3958, 0.6507, 0.9134], [0.3958, 0.8493, 0.4134], [0.6042, 0.3493, 0.0866], [0.6190, 0.8927, 0.6037], [0.3810, 0.3927, 0.8963], [0.3810, 0.1073, 0.3963], [0.6190, 0.6073, 0.1037], [0.1030, 0.8717, 0.5636], [0.8970, 0.3717, 0.9364], [0.8970, 0.1283, 0.4364], [0.1030, 0.6283, 0.0636], [0.1745, 0.7669, 0.6147], [0.8255, 0.2669, 0.8853], [0.8255, 0.2331, 0.3853], [0.1745, 0.7331, 0.1147], [0.1825, 0.9050, 0.6412], [0.8175, 0.4050, 0.8588], [0.8175, 0.0950, 0.3588], [0.1825, 0.5950, 0.1412], [0.1640, 0.0867, 0.6178], [0.8360, 0.5867, 0.8822], [0.8360, 0.9133, 0.3822], [0.1640, 0.4133, 0.1178], [0.1669, 0.2300, 0.6070], [0.8331, 0.7300, 0.8930], [0.8331, 0.7700, 0.3930], [0.1669, 0.2700, 0.1070], [0.0866, 0.1457, 0.5458], [0.9134, 0.6457, 0.9542], [0.9134, 0.8543, 0.4542], [0.0866, 0.3543, 0.0458], [0.3981, 0.9643, 0.6869], [0.6019, 0.4643, 0.8131], [0.6019, 0.0357, 0.3131], [0.3981, 0.5357, 0.1869], [0.5394, 0.0275, 0.7182], [0.4606, 0.5275, 0.7818], [0.4606, 0.9725, 0.2818], [0.5394, 0.4725, 0.2182], [0.4135, 0.1089, 0.6833], [0.5865, 0.6089, 0.8167], [0.5865, 0.8911, 0.3167], [0.4135, 0.3911, 0.1833], [0.8740, 0.9644, 0.6051], [0.1260, 0.4644, 0.8949], [0.1260, 0.0356, 0.3949], [0.8740, 0.5356, 0.1051], [0.8719, 0.0086, 0.5234], [0.1281, 0.5086, 0.9766], [0.1281, 0.9914, 0.4766], [0.8719, 0.4914, 0.0234], [0.8653, 0.1057, 0.5865], [0.1347, 0.6057, 0.9135], [0.1347, 0.8943, 0.4135], [0.8653, 0.3943, 0.0865], [0.4200, 0.3760, 0.5264], [0.5800, 0.8760, 0.9736], [0.5800, 0.6240, 0.4736], [0.4200, 0.1240, 0.0264], [0.3772, 0.4077, 0.6047], [0.6228, 0.9077, 0.8953], [0.6228, 0.5923, 0.3953], [0.3772, 0.0923, 0.1047], [0.5339, 0.4118, 0.5919], [0.4661, 0.9118, 0.9081], [0.4661, 0.5882, 0.4081], [0.5339, 0.0882, 0.0919], [0.8686, 0.3037, 0.5659], [0.1314, 0.8037, 0.9341], [0.1314, 0.6963, 0.4341], [0.8686, 0.1963, 0.0659], [0.7958, 0.3780, 0.4970], [0.2042, 0.8780, 0.0030], [0.2042, 0.6220, 0.5030], [0.7958, 0.1220, 0.9970], [0.7485, 0.3969, 0.5751], [0.2515, 0.8969, 0.9249], [0.2515, 0.6031, 0.4249], [0.7485, 0.1031, 0.0751], [0.6505, 0.2536, 0.7559], [0.3495, 0.7536, 0.7441], [0.3495, 0.7464, 0.2441], [0.6505, 0.2464, 0.2559], [0.7789, 0.3216, 0.7299], [0.2211, 0.8216, 0.7701], [0.2211, 0.6784, 0.2701], [0.7789, 0.1784, 0.2299], [0.6288, 0.3387, 0.6865], [0.3712, 0.8387, 0.8135], [0.3712, 0.6613, 0.3135], [0.6288, 0.1613, 0.1865], [0.7983, 0.6675, 0.6302], [0.2017, 0.1675, 0.8698], [0.2017, 0.3325, 0.3698], [0.7983, 0.8325, 0.1301], [0.8365, 0.6478, 0.5503], [0.1635, 0.1478, 0.9497], [0.1635, 0.3522, 0.4497], [0.8365, 0.8522, 0.0503], [0.9053, 0.7563, 0.5999], [0.0947, 0.2563, 0.9001], [0.0947, 0.2437, 0.4001], [0.9053, 0.7437, 0.0999], [0.5682, 0.6342, 0.6581], [0.4318, 0.1342, 0.8419], [0.4318, 0.3658, 0.3419], [0.5682, 0.8658, 0.1581], [0.4048, 0.6357, 0.6413], [0.5952, 0.1357, 0.8587], [0.5952, 0.3643, 0.3587], [0.4048, 0.8643, 0.1413], [0.4952, 0.6408, 0.5760], [0.5048, 0.1408, 0.9240], [0.5048, 0.3592, 0.4240], [0.4952, 0.8592, 0.0760], [0.8056, 0.7675, 0.7525], [0.1944, 0.2675, 0.7475], [0.1944, 0.2325, 0.2475], [0.8056, 0.7325, 0.2525], [0.7122, 0.8623, 0.7889], [0.2878, 0.3623, 0.7111], [0.2878, 0.1377, 0.2111], [0.7122, 0.6377, 0.2889], [0.6425, 0.7649, 0.7327], [0.3575, 0.2649, 0.7673], [0.3575, 0.2351, 0.2673], [0.6425, 0.7351, 0.2327], [0.9818, 0.1387, 0.7091], [0.0182, 0.6387, 0.7909], [0.0182, 0.8613, 0.2909], [0.9818, 0.3613, 0.2091], [0.0082, 0.0855, 0.7894], [0.9918, 0.5855, 0.7106], [0.9918, 0.9145, 0.2106], [0.0082, 0.4145, 0.2894], [0.0036, 0.9965, 0.7214], [0.9964, 0.4965, 0.7786], [0.9964, 0.0035, 0.2786], [0.0036, 0.5035, 0.2214], [0.9875, 0.0290, 0.9179], [0.0125, 0.5290, 0.5821], [0.0125, 0.9710, 0.0821], [0.9875, 0.4710, 0.4179], [0.8774, 0.9372, 0.9423], [0.1226, 0.4372, 0.5577], [0.1226, 0.0628, 0.0577], [0.8774, 0.5628, 0.4423], [0.9328, 0.9180, 0.8665], [0.0672, 0.4180, 0.6335], [0.0672, 0.0820, 0.1335], [0.9328, 0.5820, 0.3665], [0.3836, 0.2146, 0.5821], [0.6164, 0.7146, 0.9179], [0.6164, 0.7854, 0.4179], [0.3836, 0.2854, 0.0821], [0.7027, 0.2111, 0.4871], [0.2973, 0.7111, 0.0129], [0.2973, 0.7889, 0.5129], [0.7027, 0.2889, 0.9871], [0.7661, 0.1318, 0.7012], [0.2339, 0.6318, 0.7988], [0.2339, 0.8682, 0.2988], [0.7661, 0.3682, 0.2012], [0.7291, 0.8048, 0.5153], [0.2709, 0.3048, 0.9847], [0.2709, 0.1952, 0.4847], [0.7291, 0.6952, 0.0153], [0.4078, 0.8136, 0.6100], [0.5922, 0.3136, 0.8900], [0.5922, 0.1864, 0.3900], [0.4078, 0.6864, 0.1100], [0.7791, 0.9621, 0.7112], [0.2209, 0.4621, 0.7888], [0.2209, 0.0379, 0.2888], [0.7791, 0.5379, 0.2112], [0.8142, 0.0529, 0.8237], [0.1858, 0.5529, 0.6763], [0.1858, 0.9471, 0.1763], [0.8142, 0.4471, 0.3237], [0.1846, 0.8515, 0.5987], [0.8154, 0.3515, 0.9013], [0.8154, 0.1485, 0.4013], [0.1846, 0.6485, 0.0987], [0.1701, 0.1514, 0.5816], [0.8299, 0.6514, 0.9184], [0.8299, 0.8486, 0.4184], [0.1701, 0.3486, 0.0816], [0.4611, 0.0311, 0.6792], [0.5389, 0.5311, 0.8208], [0.5389, 0.9689, 0.3208], [0.4611, 0.4689, 0.1792], [0.8343, 0.0245, 0.5690], [0.1657, 0.5245, 0.9310], [0.1657, 0.9755, 0.4310], [0.8343, 0.4755, 0.0690], [0.4466, 0.3687, 0.5792], [0.5534, 0.8687, 0.9208], [0.5534, 0.6313, 0.4208], [0.4466, 0.1313, 0.0792], [0.7808, 0.3368, 0.5422], [0.2192, 0.8368, 0.9578], [0.2192, 0.6632, 0.4578], [0.7808, 0.1632, 0.0422], [0.6917, 0.2802, 0.7131], [0.3083, 0.7802, 0.7869], [0.3083, 0.7198, 0.2869], [0.6917, 0.2198, 0.2131], [0.8204, 0.7095, 0.5865], [0.1796, 0.2095, 0.9135], [0.1796, 0.2905, 0.4135], [0.8204, 0.7905, 0.0865], [0.4893, 0.6676, 0.6261], [0.5107, 0.1676, 0.8739], [0.5107, 0.3324, 0.3739], [0.4893, 0.8324, 0.1261], [0.7223, 0.8180, 0.7440], [0.2777, 0.3180, 0.7560], [0.2777, 0.1820, 0.2560], [0.7223, 0.6820, 0.2440], [0.9613, 0.0695, 0.7399], [0.0387, 0.5695, 0.7601], [0.0387, 0.9305, 0.2601], [0.9613, 0.4305, 0.2399], [0.9057, 0.9798, 0.9002], [0.0943, 0.4798, 0.5998], [0.0943, 0.0202, 0.0998], [0.9057, 0.5202, 0.4002], [0.2942, 0.8650, 0.5707], [0.7058, 0.3650, 0.9293], [0.7058, 0.1350, 0.4293], [0.2942, 0.6350, 0.0707], [0.2778, 0.1419, 0.5515], [0.7222, 0.6419, 0.9485], [0.7222, 0.8581, 0.4485], [0.2778, 0.3581, 0.0515], [0.5019, 0.0218, 0.6171], [0.4981, 0.5218, 0.8829], [0.4981, 0.9782, 0.3829], [0.5019, 0.4782, 0.1171], [0.7043, 0.0183, 0.5598], [0.2957, 0.5183, 0.9402], [0.2957, 0.9817, 0.4402], [0.7043, 0.4817, 0.0598], [0.4627, 0.2573, 0.5985], [0.5373, 0.7573, 0.9015], [0.5373, 0.7427, 0.4015], [0.4627, 0.2427, 0.0985], [0.6901, 0.2544, 0.5287], [0.3099, 0.7544, 0.9713], [0.3099, 0.7456, 0.4713], [0.6901, 0.2456, 0.0287], [0.7106, 0.1908, 0.6719], [0.2894, 0.6908, 0.8281], [0.2894, 0.8092, 0.3281], [0.7106, 0.3092, 0.1719], [0.7200, 0.7770, 0.5617], [0.2800, 0.2770, 0.9383], [0.2800, 0.2230, 0.4383], [0.7200, 0.7230, 0.0617], [0.4917, 0.7837, 0.6313], [0.5083, 0.2837, 0.8687], [0.5083, 0.2163, 0.3687], [0.4917, 0.7163, 0.1313], [0.7288, 0.8922, 0.6916], [0.2712, 0.3922, 0.8084], [0.2712, 0.1078, 0.3084], [0.7288, 0.6078, 0.1916], [0.8339, 0.0564, 0.7408], [0.1661, 0.5564, 0.7592], [0.1661, 0.9436, 0.2592], [0.8339, 0.4436, 0.2408], [0.8068, 0.0451, 0.8708], [0.1932, 0.5451, 0.6292], [0.1932, 0.9549, 0.1292], [0.8068, 0.4549, 0.3708], [0.5065, 0.8958, 0.5074], [0.4935, 0.3958, 0.9926], [0.4935, 0.1042, 0.4926], [0.5065, 0.6042, 0.0074]]}